1.
# NaC3O3 (GGA-PBE, optimized geometry)
data_NaC3O3
_cell_length_a 7.124
_cell_length_b 7.124
_cell_length_c 8.284
_cell_angle_alpha 105.82
_cell_angle_beta 105.82
_cell_angle_gamma 111.48
_symmetry_space_group_name_H-M 'P 1'
_symmetry_Int_Tables_number 1
_symmetry_space_group_name_Hall 'P 1'
loop_
_atom_site_label
_atom_site_fract_x
_atom_site_fract_y
_atom_site_fract_z
Na1 0.000 0.000 0.000
Na2 0.050 0.963 0.503
Na3 0.297 0.701 0.007
Na4 0.754 0.260 0.513
C1 0.203 0.395 0.403
C2 0.289 0.508 0.615
C3 0.294 0.508 0.300
C4 0.435 0.162 0.905
C5 0.498 0.712 0.708
C6 0.502 0.730 0.407
C7 0.547 0.239 0.101
C8 0.555 0.262 0.805
C9 0.624 0.816 0.613
C10 0.759 0.456 0.210
C11 0.773 0.460 0.903
C12 0.846 0.573 0.104
O1 0.014 0.760 0.185
O2 0.027 0.196 0.315
O3 0.175 0.417 0.689
O4 0.212 0.413 0.123
O5 0.248 0.997 0.826
O6 0.459 0.172 0.632
O7 0.472 0.130 0.190
O8 0.577 0.824 0.323
O9 0.588 0.798 0.890
O10 0.809 0.970 0.686
O11 0.838 0.538 0.381
O12 0.872 0.545 0.821
# Relative energy among the computed polymorphs   0.036 eV per atom
# Crystal system   triclinic
# Uncorrected energy   -7.154 eV/atom
# M_tot   0.00 μB/cell
# ΔH_f (0 K)   -1184.2 meV per atom

---

2.
# NaCO3 (GGA-PBE, optimized geometry)
data_NaCO3
_cell_length_a 6.437
_cell_length_b 6.437
_cell_length_c 6.437
_cell_angle_alpha 47.36
_cell_angle_beta 47.36
_cell_angle_gamma 47.36
_symmetry_space_group_name_H-M 'P 1'
_symmetry_Int_Tables_number 1
_symmetry_space_group_name_Hall 'P 1'
loop_
_atom_site_label
_atom_site_fract_x
_atom_site_fract_y
_atom_site_fract_z
Na1 0.000 0.000 0.000
Na2 0.500 0.500 0.500
C1 0.250 0.250 0.250
C2 0.750 0.750 0.750
O1 0.002 0.250 0.498
O2 0.250 0.498 0.002
O3 0.498 0.002 0.250
O4 0.502 0.998 0.750
O5 0.750 0.502 0.998
O6 0.998 0.750 0.502
# Crystal system   trigonal
# Uncorrected energy   -6.458 eV/atom
# ΔH_f (0 K)   -1791.6 meV per atom

---

3.
# Na2CO5 (GGA-PBE, optimized geometry)
data_Na2CO5
_cell_length_a 5.309
_cell_length_b 5.309
_cell_length_c 6.136
_cell_angle_alpha 105.68
_cell_angle_beta 105.68
_cell_angle_gamma 58.77
_symmetry_space_group_name_H-M 'P 1'
_symmetry_Int_Tables_number 1
_symmetry_space_group_name_Hall 'P 1'
loop_
_atom_site_label
_atom_site_fract_x
_atom_site_fract_y
_atom_site_fract_z
Na1 0.000 0.000 0.000
Na2 0.075 0.075 0.479
C1 0.369 0.369 0.242
O1 0.219 0.647 0.224
O2 0.237 0.237 0.272
O3 0.538 0.783 0.770
O4 0.647 0.219 0.224
O5 0.783 0.538 0.770
# Crystal system   monoclinic
# Uncorrected energy   -5.701 eV/atom
# M_tot   1.52 μB/cell
# ΔH_f (0 K)   -1225.3 meV per atom

---

4.
# Na4CO4 (GGA-PBE, optimized geometry)
data_Na4CO4
_cell_length_a 4.739
_cell_length_b 4.739
_cell_length_c 4.739
_cell_angle_alpha 90.00
_cell_angle_beta 90.00
_cell_angle_gamma 90.00
_symmetry_space_group_name_H-M 'P 1'
_symmetry_Int_Tables_number 1
_symmetry_space_group_name_Hall 'P 1'
loop_
_atom_site_label
_atom_site_fract_x
_atom_site_fract_y
_atom_site_fract_z
Na1 0.219 0.219 0.781
Na2 0.219 0.781 0.219
Na3 0.781 0.219 0.219
Na4 0.781 0.781 0.781
C1 0.500 0.500 0.500
O1 0.323 0.323 0.323
O2 0.323 0.677 0.677
O3 0.677 0.323 0.677
O4 0.677 0.677 0.323
# Relative energy among the computed polymorphs   0.175 eV per atom
# Crystal system   cubic
# Uncorrected energy   -5.066 eV/atom
# M_tot   0.00 μB/cell
# ΔH_f (0 K)   -1558.7 meV per atom

---

5.
# Na3CO5 (GGA-PBE, optimized geometry)
data_Na3CO5
_cell_length_a 5.688
_cell_length_b 5.724
_cell_length_c 7.267
_cell_angle_alpha 85.29
_cell_angle_beta 89.06
_cell_angle_gamma 86.76
_symmetry_space_group_name_H-M 'P 1'
_symmetry_Int_Tables_number 1
_symmetry_space_group_name_Hall 'P 1'
loop_
_atom_site_label
_atom_site_fract_x
_atom_site_fract_y
_atom_site_fract_z
Na1 0.000 0.000 0.000
Na2 0.241 0.692 0.573
Na3 0.740 0.207 0.558
C1 0.230 0.193 0.710
O1 0.020 0.282 0.754
O2 0.065 0.856 0.301
O3 0.289 0.975 0.764
O4 0.374 0.322 0.614
O5 0.891 0.030 0.303
# Crystal system   triclinic
# Uncorrected energy   -5.510 eV/atom
# M_tot   1.00 μB/cell
# ΔH_f (0 K)   -1384.3 meV per atom

---

6.
# Na4CO4 (GGA-PBE, optimized geometry)
data_Na4CO4
_cell_length_a 5.610
_cell_length_b 5.610
_cell_length_c 5.610
_cell_angle_alpha 128.88
_cell_angle_beta 128.88
_cell_angle_gamma 75.20
_symmetry_space_group_name_H-M 'P 1'
_symmetry_Int_Tables_number 1
_symmetry_space_group_name_Hall 'P 1'
loop_
_atom_site_label
_atom_site_fract_x
_atom_site_fract_y
_atom_site_fract_z
Na1 0.156 0.156 0.600
Na2 0.444 0.844 0.000
Na3 0.556 0.556 0.400
Na4 0.844 0.444 0.000
C1 0.000 0.000 0.000
O1 0.074 0.734 0.000
O2 0.266 0.266 0.340
O3 0.734 0.074 0.000
O4 0.926 0.926 0.660
# Relative energy among the computed polymorphs   0.026 eV per atom
# Crystal system   tetragonal
# Uncorrected energy   -5.215 eV/atom
# M_tot   0.00 μB/cell
# ΔH_f (0 K)   -1707.8 meV per atom

---

7.
# Na4CO4 (GGA-PBE, optimized geometry)
data_Na4CO4
_cell_length_a 4.865
_cell_length_b 4.865
_cell_length_c 4.865
_cell_angle_alpha 91.58
_cell_angle_beta 91.58
_cell_angle_gamma 91.58
_symmetry_space_group_name_H-M 'P 1'
_symmetry_Int_Tables_number 1
_symmetry_space_group_name_Hall 'P 1'
loop_
_atom_site_label
_atom_site_fract_x
_atom_site_fract_y
_atom_site_fract_z
Na1 0.000 0.000 0.000
Na2 0.332 0.792 0.349
Na3 0.349 0.332 0.792
Na4 0.792 0.349 0.332
C1 0.713 0.713 0.713
O1 0.282 0.282 0.282
O2 0.497 0.820 0.825
O3 0.820 0.825 0.497
O4 0.825 0.497 0.820
# Relative energy among the computed polymorphs   0.024 eV per atom
# Crystal system   trigonal
# Largest piezoelectric modulus   50.453 C/m2
# Uncorrected energy   -5.217 eV/atom
# M_tot   0.00 μB/cell
# ΔH_f (0 K)   -1709.7 meV per atom

---

8.
# Na4CO4 (GGA-PBE, optimized geometry)
data_Na4CO4
_cell_length_a 5.301
_cell_length_b 5.301
_cell_length_c 5.461
_cell_angle_alpha 112.93
_cell_angle_beta 112.93
_cell_angle_gamma 60.14
_symmetry_space_group_name_H-M 'P 1'
_symmetry_Int_Tables_number 1
_symmetry_space_group_name_Hall 'P 1'
loop_
_atom_site_label
_atom_site_fract_x
_atom_site_fract_y
_atom_site_fract_z
Na1 0.133 0.133 0.387
Na2 0.291 0.391 0.967
Na3 0.609 0.709 0.033
Na4 0.867 0.867 0.613
C1 0.581 0.419 0.500
O1 0.346 0.487 0.611
O2 0.513 0.654 0.389
O3 0.626 0.145 0.287
O4 0.855 0.374 0.713
# Relative energy among the computed polymorphs   0.000 eV per atom
# Crystal system   monoclinic
# Uncorrected energy   -5.241 eV/atom
# M_tot   0.00 μB/cell
# ΔH_f (0 K)   -1733.8 meV per atom

---

9.
# Na4CO4 (GGA-PBE, optimized geometry)
data_Na4CO4
_cell_length_a 3.732
_cell_length_b 6.302
_cell_length_c 7.295
_cell_angle_alpha 115.13
_cell_angle_beta 93.39
_cell_angle_gamma 99.43
_symmetry_space_group_name_H-M 'P 1'
_symmetry_Int_Tables_number 1
_symmetry_space_group_name_Hall 'P 1'
loop_
_atom_site_label
_atom_site_fract_x
_atom_site_fract_y
_atom_site_fract_z
Na1 0.000 0.000 0.000
Na2 0.173 0.688 0.592
Na3 0.453 0.516 0.978
Na4 0.793 0.184 0.637
C1 0.524 0.334 0.308
O1 0.283 0.095 0.773
O2 0.601 0.550 0.348
O3 0.708 0.181 0.291
O4 0.966 0.602 0.844
# Relative energy among the computed polymorphs   0.371 eV per atom
# Crystal system   triclinic
# Uncorrected energy   -4.869 eV/atom
# M_tot   1.07 μB/cell
# ΔH_f (0 K)   -1362.5 meV per atom

---

10.
# Na4CO4 (GGA-PBE, optimized geometry)
data_Na4CO4
_cell_length_a 4.751
_cell_length_b 4.751
_cell_length_c 4.751
_cell_angle_alpha 89.14
_cell_angle_beta 89.14
_cell_angle_gamma 89.14
_symmetry_space_group_name_H-M 'P 1'
_symmetry_Int_Tables_number 1
_symmetry_space_group_name_Hall 'P 1'
loop_
_atom_site_label
_atom_site_fract_x
_atom_site_fract_y
_atom_site_fract_z
Na1 0.000 0.000 0.000
Na2 0.419 0.455 0.995
Na3 0.455 0.995 0.419
Na4 0.995 0.419 0.455
C1 0.723 0.723 0.723
O1 0.543 0.906 0.894
O2 0.550 0.550 0.550
O3 0.894 0.543 0.906
O4 0.906 0.894 0.543
# Relative energy among the computed polymorphs   0.176 eV per atom
# Crystal system   trigonal
# Largest piezoelectric modulus   1.757 C/m2
# Uncorrected energy   -5.064 eV/atom
# M_tot   0.00 μB/cell
# ΔH_f (0 K)   -1557.5 meV per atom

---

11.
# Na4CO4 (GGA-PBE, optimized geometry)
data_Na4CO4
_cell_length_a 5.807
_cell_length_b 5.807
_cell_length_c 5.807
_cell_angle_alpha 99.93
_cell_angle_beta 99.93
_cell_angle_gamma 130.93
_symmetry_space_group_name_H-M 'P 1'
_symmetry_Int_Tables_number 1
_symmetry_space_group_name_Hall 'P 1'
loop_
_atom_site_label
_atom_site_fract_x
_atom_site_fract_y
_atom_site_fract_z
Na1 0.174 0.174 0.652
Na2 0.478 0.826 0.000
Na3 0.522 0.522 0.348
Na4 0.826 0.478 0.000
C1 0.000 0.000 0.000
O1 0.058 0.281 0.000
O2 0.281 0.058 0.000
O3 0.719 0.719 0.777
O4 0.942 0.942 0.223
# Relative energy among the computed polymorphs   0.010 eV per atom
# Crystal system   tetragonal
# Uncorrected energy   -5.231 eV/atom
# ΔH_f (0 K)   -1724.1 meV per atom

---

12.
# Na3PCO11 (GGA-PBE, optimized geometry)
data_Na3PCO11
_cell_length_a 8.538
_cell_length_b 15.237
_cell_length_c 8.833
_cell_angle_alpha 90.00
_cell_angle_beta 105.33
_cell_angle_gamma 90.00
_symmetry_space_group_name_H-M 'P 1'
_symmetry_Int_Tables_number 1
_symmetry_space_group_name_Hall 'P 1'
loop_
_atom_site_label
_atom_site_fract_x
_atom_site_fract_y
_atom_site_fract_z
Na1 0.007 0.233 0.163
Na2 0.007 0.267 0.663
Na3 0.248 0.114 0.911
Na4 0.248 0.386 0.411
Na5 0.469 0.208 0.306
Na6 0.469 0.292 0.806
Na7 0.531 0.708 0.194
Na8 0.531 0.792 0.694
Na9 0.752 0.614 0.589
Na10 0.752 0.886 0.089
Na11 0.993 0.733 0.337
Na12 0.993 0.767 0.837
P1 0.293 0.121 0.578
P2 0.293 0.379 0.078
P3 0.707 0.621 0.922
P4 0.707 0.879 0.422
C1 0.310 0.576 0.663
C2 0.310 0.924 0.163
C3 0.690 0.076 0.837
C4 0.690 0.424 0.337
O1 0.013 0.197 0.904
O2 0.013 0.303 0.404
O3 0.096 0.577 0.312
O4 0.096 0.923 0.812
O5 0.122 0.601 0.917
O6 0.122 0.899 0.417
O7 0.240 0.604 0.348
O8 0.240 0.896 0.848
O9 0.246 0.202 0.653
O10 0.246 0.298 0.153
O11 0.263 0.624 0.983
O12 0.263 0.876 0.483
O13 0.276 0.502 0.635
O14 0.276 0.998 0.135
O15 0.293 0.120 0.410
O16 0.293 0.380 0.910
O17 0.333 0.042 0.682
O18 0.333 0.458 0.182
O19 0.343 0.650 0.692
O20 0.343 0.850 0.192
O21 0.470 0.201 0.038
O22 0.470 0.299 0.538
O23 0.530 0.701 0.462
O24 0.530 0.799 0.962
O25 0.657 0.150 0.808
O26 0.657 0.350 0.308
O27 0.667 0.542 0.818
O28 0.667 0.958 0.318
O29 0.707 0.620 0.090
O30 0.707 0.880 0.590
O31 0.724 0.002 0.865
O32 0.724 0.498 0.365
O33 0.737 0.124 0.517
O34 0.737 0.376 0.017
O35 0.754 0.702 0.847
O36 0.754 0.798 0.347
O37 0.760 0.104 0.152
O38 0.760 0.396 0.652
O39 0.878 0.101 0.583
O40 0.878 0.399 0.083
O41 0.904 0.077 0.188
O42 0.904 0.423 0.688
O43 0.987 0.697 0.596
O44 0.987 0.803 0.096
# Crystal system   monoclinic
# Uncorrected energy   -5.499 eV/atom
# M_tot   24.01 μB/cell
# ΔH_f (0 K)   -1045.3 meV per atom

---

13.
# NaPrPCO7 (GGA-PBE, optimized geometry)
data_NaPrPCO7
_cell_length_a 5.364
_cell_length_b 7.209
_cell_length_c 9.796
_cell_angle_alpha 90.00
_cell_angle_beta 90.76
_cell_angle_gamma 90.00
_symmetry_space_group_name_H-M 'P 1'
_symmetry_Int_Tables_number 1
_symmetry_space_group_name_Hall 'P 1'
loop_
_atom_site_label
_atom_site_fract_x
_atom_site_fract_y
_atom_site_fract_z
Na1 0.230 0.000 0.271
Na2 0.770 0.500 0.729
Pr1 0.220 0.189 0.872
Pr2 0.780 0.689 0.128
P1 0.283 0.697 0.916
P2 0.717 0.197 0.084
C1 0.277 0.243 0.569
C2 0.723 0.743 0.431
O1 0.054 0.251 0.618
O2 0.157 0.523 0.854
O3 0.205 0.718 0.070
O4 0.212 0.874 0.837
O5 0.309 0.209 0.444
O6 0.428 0.168 0.080
O7 0.461 0.264 0.654
O8 0.539 0.764 0.346
O9 0.572 0.668 0.920
O10 0.691 0.709 0.556
O11 0.788 0.374 0.163
O12 0.795 0.218 0.930
O13 0.843 0.023 0.146
O14 0.946 0.751 0.382
# Crystal system   monoclinic
# Uncorrected energy   -7.192 eV/atom
# M_tot   2.00 μB/cell
# ΔH_f (0 K)   -2594.3 meV per atom

---

14.
# Na2ScPCO7 (GGA-PBE, optimized geometry)
data_Na2ScPCO7
_cell_length_a 5.305
_cell_length_b 6.748
_cell_length_c 9.060
_cell_angle_alpha 90.00
_cell_angle_beta 90.41
_cell_angle_gamma 90.00
_symmetry_space_group_name_H-M 'P 1'
_symmetry_Int_Tables_number 1
_symmetry_space_group_name_Hall 'P 1'
loop_
_atom_site_label
_atom_site_fract_x
_atom_site_fract_y
_atom_site_fract_z
Na1 0.236 0.001 0.222
Na2 0.236 0.499 0.222
Na3 0.764 0.501 0.778
Na4 0.764 0.999 0.778
Sc1 0.217 0.250 0.643
Sc2 0.783 0.750 0.357
P1 0.291 0.750 0.576
P2 0.709 0.250 0.424
C1 0.269 0.250 0.927
C2 0.731 0.750 0.073
O1 0.047 0.250 0.862
O2 0.168 0.750 0.418
O3 0.209 0.562 0.659
O4 0.209 0.938 0.659
O5 0.299 0.250 0.065
O6 0.416 0.250 0.443
O7 0.460 0.250 0.833
O8 0.540 0.750 0.167
O9 0.584 0.750 0.557
O10 0.701 0.750 0.935
O11 0.791 0.062 0.341
O12 0.791 0.438 0.341
O13 0.832 0.250 0.582
O14 0.953 0.750 0.138
# Crystal system   monoclinic
# Uncorrected energy   -7.196 eV/atom
# ΔH_f (0 K)   -2742.0 meV per atom

---

15.
# NaSiPCO7 (GGA-PBE, optimized geometry)
data_NaSiPCO7
_cell_length_a 5.008
_cell_length_b 6.037
_cell_length_c 9.549
_cell_angle_alpha 90.00
_cell_angle_beta 92.92
_cell_angle_gamma 90.00
_symmetry_space_group_name_H-M 'P 1'
_symmetry_Int_Tables_number 1
_symmetry_space_group_name_Hall 'P 1'
loop_
_atom_site_label
_atom_site_fract_x
_atom_site_fract_y
_atom_site_fract_z
Na1 0.225 0.000 0.307
Na2 0.775 0.500 0.693
Si1 0.222 0.181 0.851
Si2 0.778 0.681 0.149
P1 0.265 0.686 0.943
P2 0.735 0.186 0.057
C1 0.296 0.196 0.618
C2 0.704 0.696 0.382
O1 0.058 0.188 0.677
O2 0.082 0.688 0.067
O3 0.209 0.485 0.846
O4 0.216 0.887 0.846
O5 0.337 0.206 0.493
O6 0.437 0.183 0.002
O7 0.482 0.195 0.725
O8 0.518 0.695 0.275
O9 0.563 0.683 0.998
O10 0.663 0.706 0.507
O11 0.784 0.387 0.154
O12 0.791 0.985 0.154
O13 0.918 0.188 0.933
O14 0.942 0.688 0.323
# Crystal system   monoclinic
# Uncorrected energy   -7.147 eV/atom
# M_tot   0.00 μB/cell
# ΔH_f (0 K)   -2491.1 meV per atom

---

16.
# Na6Sn2PC4O16 (GGA-PBE, optimized geometry)
data_Na6Sn2PC4O16
_cell_length_a 10.277
_cell_length_b 10.277
_cell_length_c 10.277
_cell_angle_alpha 60.00
_cell_angle_beta 60.00
_cell_angle_gamma 60.00
_symmetry_space_group_name_H-M 'P 1'
_symmetry_Int_Tables_number 1
_symmetry_space_group_name_Hall 'P 1'
loop_
_atom_site_label
_atom_site_fract_x
_atom_site_fract_y
_atom_site_fract_z
Na1 0.075 0.075 0.675
Na2 0.075 0.675 0.075
Na3 0.075 0.675 0.675
Na4 0.325 0.325 0.925
Na5 0.325 0.925 0.325
Na6 0.325 0.925 0.925
Na7 0.675 0.075 0.075
Na8 0.675 0.075 0.675
Na9 0.675 0.675 0.075
Na10 0.925 0.325 0.325
Na11 0.925 0.325 0.925
Na12 0.925 0.925 0.325
Sn1 0.000 0.500 0.500
Sn2 0.500 0.000 0.500
Sn3 0.500 0.500 0.000
Sn4 0.500 0.500 0.500
P1 0.125 0.125 0.125
P2 0.875 0.875 0.875
C1 0.274 0.274 0.274
C2 0.274 0.274 0.677
C3 0.274 0.677 0.274
C4 0.323 0.726 0.726
C5 0.677 0.274 0.274
C6 0.726 0.323 0.726
C7 0.726 0.726 0.323
C8 0.726 0.726 0.726
O1 0.063 0.063 0.063
O2 0.063 0.063 0.311
O3 0.063 0.311 0.063
O4 0.145 0.279 0.399
O5 0.145 0.399 0.678
O6 0.145 0.678 0.279
O7 0.279 0.145 0.678
O8 0.279 0.399 0.145
O9 0.279 0.678 0.399
O10 0.311 0.063 0.063
O11 0.322 0.601 0.721
O12 0.322 0.721 0.855
O13 0.322 0.855 0.601
O14 0.399 0.145 0.279
O15 0.399 0.279 0.678
O16 0.399 0.678 0.145
O17 0.601 0.322 0.855
O18 0.601 0.721 0.322
O19 0.601 0.855 0.721
O20 0.678 0.145 0.399
O21 0.678 0.279 0.145
O22 0.678 0.399 0.279
O23 0.689 0.937 0.937
O24 0.721 0.322 0.601
O25 0.721 0.601 0.855
O26 0.721 0.855 0.322
O27 0.855 0.322 0.721
O28 0.855 0.601 0.322
O29 0.855 0.721 0.601
O30 0.937 0.689 0.937
O31 0.937 0.937 0.689
O32 0.937 0.937 0.937
# Crystal system   cubic
# Uncorrected energy   -6.394 eV/atom
# M_tot   2.00 μB/cell
# ΔH_f (0 K)   -2033.9 meV per atom